A relaxed Na7Zn2SiGe2P5O24 crystal. Source: Materials Project, functional GGA-PBE. Values from VASP.

```
&SYSTEM
  ibrav = 0, nat = 123, ntyp = 6
/
ATOMIC_SPECIES
Na 22.99 Na.upf
Zn 65.41 Zn.upf
Si 28.09 Si.upf
Ge 72.64 Ge.upf
P 30.97 P.upf
O 16.00 O.upf
CELL_PARAMETERS angstrom
8.8756 0.0000 0.0000
4.4254 7.7045 0.0000
0.1383 -0.0171 21.6280
ATOMIC_POSITIONS crystal
Na 0.0000 0.0000 0.0000
Na 0.0008 0.3816 0.5019
Na 0.0132 0.6823 0.0834
Na 0.0163 0.3140 0.8350
Na 0.0169 0.0457 0.3331
Na 0.0324 0.6631 0.5835
Na 0.0627 0.9838 0.6685
Na 0.0661 0.3296 0.1650
Na 0.3323 0.7142 0.1688
Na 0.3403 0.3837 0.0031
Na 0.3480 0.6481 0.4979
Na 0.3597 0.0125 0.7488
Na 0.3760 0.0076 0.2477
Na 0.3990 0.3205 0.3365
Na 0.6662 0.6627 0.3352
Na 0.6691 0.0458 0.8336
Na 0.6770 0.3594 0.9144
Na 0.6784 0.7155 0.6658
Na 0.6874 0.3476 0.4162
Na 0.7315 0.6514 0.0017
Na 0.7333 0.9888 0.5042
Zn 0.0241 0.6749 0.4360
Zn 0.0288 0.6686 0.9359
Zn 0.3623 0.0136 0.1031
Zn 0.3658 0.0099 0.6045
Zn 0.6860 0.3497 0.7704
Zn 0.6871 0.3488 0.2696
Si 0.0619 0.3009 0.0067
Si 0.3157 0.6830 0.3394
Si 0.6528 0.7102 0.5074
Ge 0.0245 0.6831 0.2365
Ge 0.0323 0.6707 0.7364
Ge 0.3541 0.0081 0.9029
Ge 0.3636 0.9984 0.4032
Ge 0.6873 0.3486 0.5698
Ge 0.6982 0.3388 0.0699
P 0.0364 0.3778 0.3378
P 0.0403 0.9593 0.8386
P 0.0618 0.0195 0.5074
P 0.3181 0.3765 0.8398
P 0.3682 0.2928 0.5046
P 0.3681 0.7141 0.0069
P 0.3921 0.6294 0.6720
P 0.3963 0.3491 0.1727
P 0.6464 0.0177 0.0035
P 0.7007 0.0468 0.6741
P 0.7021 0.6369 0.1726
P 0.7248 0.6854 0.8387
P 0.7298 0.9639 0.3392
P 0.9774 0.0437 0.1726
P 0.9847 0.3504 0.6737
O 0.0122 0.8791 0.8961
O 0.0288 0.4962 0.9997
O 0.0354 0.8630 0.5003
O 0.0626 0.8476 0.7784
O 0.0674 0.4683 0.2790
O 0.1456 0.0569 0.4475
O 0.1535 0.1662 0.9451
O 0.1631 0.0146 0.1675
O 0.1636 0.1922 0.6652
O 0.1686 0.9917 0.5645
O 0.1753 0.2234 0.0673
O 0.1843 0.7230 0.2775
O 0.1871 0.4712 0.7840
O 0.2081 0.6412 0.6772
O 0.2100 0.6908 0.9980
O 0.2125 0.5251 0.1726
O 0.2124 0.9726 0.8407
O 0.2127 0.1996 0.3414
O 0.2167 0.4782 0.4989
O 0.2361 0.6478 0.4001
O 0.2441 0.4726 0.8999
O 0.3217 0.8704 0.3425
O 0.3247 0.1937 0.8404
O 0.3290 0.2148 0.5594
O 0.3382 0.8172 0.0659
O 0.3603 0.8159 0.6663
O 0.3679 0.1947 0.1674
O 0.4019 0.1771 0.4436
O 0.4103 0.8010 0.9498
O 0.4730 0.5193 0.6103
O 0.4887 0.3809 0.1138
O 0.4925 0.3344 0.2317
O 0.5022 0.3449 0.8314
O 0.5109 0.5479 0.7256
O 0.5115 0.5200 0.3332
O 0.5208 0.8011 0.4460
O 0.5287 0.0532 0.9434
O 0.5392 0.5292 0.0098
O 0.5425 0.8147 0.1645
O 0.5445 0.8616 0.8419
O 0.5452 0.9765 0.3415
O 0.5461 0.0179 0.6697
O 0.5459 0.2957 0.5093
O 0.5722 0.9723 0.0585
O 0.5768 0.8233 0.5683
O 0.6472 0.1957 0.0097
O 0.6599 0.5163 0.5112
O 0.6759 0.5579 0.2311
O 0.6896 0.1432 0.7326
O 0.7062 0.1451 0.3304
O 0.7058 0.5256 0.8311
O 0.7315 0.1380 0.6146
O 0.7377 0.5110 0.1140
O 0.8149 0.7218 0.7801
O 0.8181 0.8348 0.2829
O 0.8298 0.6594 0.8969
O 0.8306 0.8923 0.3984
O 0.8334 0.8693 0.9959
O 0.8478 0.6783 0.4998
O 0.8593 0.3884 0.6153
O 0.8664 0.3091 0.0104
O 0.8667 0.1315 0.1124
O 0.8770 0.8612 0.6739
O 0.8780 0.1917 0.5106
O 0.8794 0.6391 0.1757
O 0.8833 0.1446 0.8334
O 0.8845 0.3437 0.3301
O 0.8960 0.1524 0.2298
O 0.9058 0.3226 0.7320
O 0.9884 0.5281 0.6774
O 0.9888 0.8593 0.1745
O 0.9976 0.4862 0.3958
```

* total energy after the MP2020 corrections: -817.2 eV per cell
* magnetic moment: 0.0000 μB/atom
* volume: 12.02 Å³ per atom
* DFT total energy: -6.242 eV per atom
* energy relative to the elements: -2442.6 meV/atom